Compound: LaZnNi4
Source: the Materials Project
Functional: meta-GGA r2SCAN
Structure: optimized geometry

E = -88.3 eV for the cell shown
Calculated density = 8.36 g cm⁻³

Cell and atoms, written as POSCAR:
```
LaZnNi4
1.0
5.075 0.000 0.000
-2.538 4.395 0.000
0.000 0.000 3.909
La Zn Ni
1 1 4
direct
0.000 0.000 0.000
0.333 0.667 0.000
0.503 0.006 0.500
0.503 0.497 0.500
0.667 0.333 0.000
0.994 0.497 0.500
```

***

Compound: NaH8SNO6
Source: the Materials Project
Functional: meta-GGA r2SCAN
Structure: optimized geometry

E = -416.8 eV for the cell shown
Calculated density = 1.82 g cm⁻³

Cell and atoms, written as POSCAR:
```
NaH8SNO6
1.0
6.253 0.000 0.000
0.000 8.012 0.000
0.000 0.000 12.636
Na H S N O
4 32 4 4 24
direct
0.084 0.230 0.486
0.416 0.770 0.986
0.584 0.270 0.514
0.916 0.730 0.014
0.006 0.726 0.340
0.125 0.603 0.822
0.131 0.086 0.087
0.139 0.074 0.220
0.158 0.475 0.911
0.208 0.770 0.196
0.232 0.407 0.652
0.243 0.765 0.657
0.257 0.235 0.157
0.268 0.593 0.152
0.292 0.230 0.696
0.342 0.525 0.411
0.361 0.926 0.720
0.369 0.914 0.587
0.375 0.397 0.322
0.494 0.274 0.840
0.506 0.774 0.660
0.625 0.897 0.178
0.631 0.414 0.913
0.639 0.426 0.780
0.658 0.025 0.089
0.708 0.730 0.804
0.732 0.093 0.348
0.743 0.735 0.343
0.757 0.265 0.843
0.768 0.907 0.848
0.792 0.270 0.304
0.842 0.975 0.589
0.861 0.574 0.280
0.869 0.586 0.413
0.875 0.103 0.678
0.994 0.226 0.160
0.122 0.107 0.883
0.378 0.893 0.383
0.622 0.393 0.117
0.878 0.607 0.617
0.130 0.153 0.156
0.370 0.847 0.656
0.630 0.347 0.844
0.870 0.653 0.344
0.077 0.583 0.681
0.115 0.268 0.937
0.139 0.971 0.961
0.167 0.595 0.896
0.192 0.899 0.310
0.195 0.698 0.134
0.305 0.302 0.634
0.308 0.101 0.810
0.333 0.405 0.396
0.361 0.029 0.461
0.385 0.732 0.437
0.423 0.417 0.181
0.577 0.917 0.319
0.615 0.232 0.063
0.639 0.529 0.039
0.667 0.905 0.104
0.692 0.601 0.690
0.695 0.802 0.866
0.805 0.198 0.366
0.808 0.399 0.190
0.833 0.095 0.604
0.861 0.471 0.539
0.885 0.768 0.563
0.923 0.083 0.819
```